1.
NbH, optimized geometry, DFT r2SCAN; ΔE_f = -187 meV/atom; magnetization = 0.00 μB/f.u.; final energy = -14.28 eV/atom; SG = Cmme, No. 67
1.0
-0.191 2.508 -1.675
-2.858 -0.930 0.320
-0.410 2.637 3.995
Nb H
2 2
Cartesian
-2.491 1.858 2.742
-0.968 2.357 -0.102
-0.762 0.395 -0.339
-2.287 1.184 -1.016

2.
Nb4H3S8, optimized geometry, DFT r2SCAN; ΔE_f = -971 meV/atom; magnetization = 0.86 μB/f.u.; final energy = -12.54 eV/atom; SG = P-6m2, No. 187
1.0
-1.968 1.684 2.134
-0.395 0.389 -3.310
-17.259 -19.821 -0.269
H Nb S
3 4 8
Cartesian
-12.953 -14.876 -0.202
-4.306 -4.945 -0.067
-8.629 -9.911 -0.134
-13.874 -14.057 -1.697
-1.443 1.252 0.319
-5.223 -4.122 -1.562
-10.073 -8.658 0.185
-6.823 -4.926 0.236
-8.473 -7.854 -1.613
-10.624 -10.325 -1.646
-13.322 -12.390 0.134
-17.149 -17.819 -1.748
-4.671 -2.455 0.269
-15.474 -14.862 0.101
-1.948 -0.361 -1.511

3.
NdH3, optimized geometry, DFT r2SCAN; ΔE_f = -666 meV/atom; magnetization = 0.00 μB/f.u.; final energy = -10.61 eV/atom; SG = P-3c1, No. 165
1.0
6.671 0.000 0.000
-3.335 5.777 0.000
0.000 0.000 6.932
H Nd
18 6
Cartesian
1.099 5.609 6.294
5.407 1.853 0.638
0.973 2.021 6.294
1.264 1.853 4.104
-1.099 5.609 2.828
3.335 1.926 5.664
4.309 3.756 4.104
4.434 0.168 4.104
2.362 3.756 0.638
2.237 0.168 0.638
0.000 0.000 5.199
0.000 0.000 1.733
0.000 3.851 4.734
0.000 3.851 1.268
3.335 1.926 2.198
-2.072 3.924 6.294
2.072 3.924 2.828
-0.973 2.021 2.828
-2.212 3.831 1.733
1.123 1.946 1.733
-1.123 1.946 5.199
2.212 3.831 5.199
4.424 0.000 1.733
2.247 0.000 5.199

4.
NdH2, optimized geometry, DFT r2SCAN; ΔE_f = -737 meV/atom; magnetization = 0.00 μB/f.u.; final energy = -12.85 eV/atom; SG = Fm-3m, No. 225
1.0
-2.580 -2.817 -0.684
1.221 -3.583 -0.857
-0.462 -2.873 2.568
H Nd
2 1
Cartesian
-1.365 -6.955 0.770
-0.455 -2.318 0.257
0.000 0.000 0.000